1.
# Cu4Bi4S9 (PBE-GGA, optimized geometry)
data_Cu4Bi4S9
_cell_length_a 33.331
_cell_length_b 3.930
_cell_length_c 11.308
_cell_angle_alpha 90.00
_cell_angle_beta 90.00
_cell_angle_gamma 90.00
_space_group_name_H-M_alt 'P n m a'
_space_group_IT_number 62
loop_
_space_group_symop_operation_xyz
'x,y,z'
'-x,-y,-z'
'-x+1/2,-y,z+1/2'
'x+1/2,y,-z+1/2'
'x+1/2,-y+1/2,-z+1/2'
'-x+1/2,y+1/2,z+1/2'
'-x,y+1/2,-z'
'x,-y+1/2,z'
loop_
_atom_site_label
_atom_site_fract_x
_atom_site_fract_y
_atom_site_fract_z
Cu1 0.013 0.250 0.101
Cu2 0.141 0.250 0.619
Cu3 0.193 0.750 0.666
Cu4 0.197 0.250 0.078
Bi1 0.033 0.750 0.621
Bi2 0.092 0.750 0.910
Bi3 0.111 0.750 0.280
Bi4 0.223 0.250 0.352
S1 0.023 0.250 0.845
S2 0.049 0.250 0.461
S3 0.082 0.250 0.118
S4 0.111 0.750 0.680
S5 0.149 0.250 0.422
S6 0.155 0.250 0.918
S7 0.183 0.750 0.181
S8 0.193 0.250 0.768
S9 0.237 0.750 0.516
# * distance to the lowest polymorph of the same formula: 35.3 kJ/mol of formula units
# * DFT formation energy: -0.5112 eV per atom

=====

2.
# Cs4PbBr6 (PBE-GGA, optimized geometry)
data_Cs4PbBr6
_cell_length_a 14.1163
_cell_length_b 14.1163
_cell_length_c 17.5807
_cell_angle_alpha 90.00
_cell_angle_beta 90.00
_cell_angle_gamma 120.00
_space_group_name_H-M_alt 'R -3 c'
_space_group_IT_number 167
_space_group_name_Hall '-R 3 2"c'
loop_
_atom_site_label
_atom_site_fract_x
_atom_site_fract_y
_atom_site_fract_z
Cs1 0.0000 0.0000 0.2500
Cs2 0.0000 0.3755 0.2500
Pb1 0.0000 0.0000 0.0000
Br1 0.0288 0.1900 0.3990
# * DFT formation energy: -1.8790 eV per atom